Material: Na10TaGa7Si6S6O48
Method: DFT, PBE
State: optimized geometry

Geometry as POSCAR:
```
Na10TaGa7Si6S6O48
1.0
-15.0004 -7.8697 4.8146
7.0822 -0.3751 5.3188
-6.6711 18.2910 10.4270
Na O Ga Si Ta S
30 144 21 18 3 18
Direct
0.3388 0.3308 0.3357 Na
0.8331 0.6891 0.0760 Na
0.1617 0.6640 0.1632 Na
0.8377 0.3395 0.3354 Na
0.5107 0.9961 0.4986 Na
0.1840 0.3654 0.2514 Na
0.6702 0.3051 0.9162 Na
0.6569 0.6341 0.6671 Na
0.3330 0.9663 0.5853 Na
0.3150 0.6277 0.7498 Na
0.3177 0.0006 0.2501 Na
0.1619 0.3492 0.5801 Na
0.0133 0.6936 0.5797 Na
0.6855 0.3717 0.2428 Na
0.8083 0.6183 0.7494 Na
0.9934 0.9810 0.9943 Na
0.6826 0.0056 0.7549 Na
0.3550 0.6652 0.4176 Na
0.9964 0.3558 0.7495 Na
0.6547 0.6468 0.1602 Na
0.4970 0.6199 0.2532 Na
0.9977 0.6310 0.2480 Na
0.8184 0.0015 0.2521 Na
0.8291 0.9651 0.5775 Na
0.4945 0.9750 0.9963 Na
0.1695 0.6748 0.6654 Na
0.8314 0.3305 0.8368 Na
0.3361 0.3286 0.8336 Na
0.9984 0.9956 0.4907 Na
0.1690 0.3038 0.9114 Na
0.5804 0.6966 0.7579 O
0.5835 0.6949 0.4753 O
0.7588 0.8729 0.0810 O
0.9917 0.8241 0.0876 O
0.7383 0.3071 0.7458 O
0.9325 0.5047 0.4198 O
0.4222 0.5271 0.7439 O
0.9040 0.9824 0.4134 O
0.5657 0.6436 0.3538 O
0.5881 0.4786 0.2552 O
0.1516 0.4836 0.7556 O
0.3975 0.9701 0.4152 O
0.8371 0.5101 0.2471 O
0.5973 0.1558 0.8114 O
0.2571 0.6922 0.2581 O
0.1785 0.4893 0.0771 O
0.0984 0.1745 0.0871 O
0.2628 0.8462 0.7568 O
0.4243 0.3030 0.5305 O
0.2515 0.6556 0.5781 O
0.5913 0.1620 0.0899 O
0.1535 0.8284 0.2577 O
0.1527 0.8490 0.9712 O
0.4009 0.8418 0.1961 O
0.4866 0.1760 0.5895 O
0.5674 0.4915 0.5782 O
0.5972 0.0224 0.5879 O
0.3399 0.5124 0.2451 O
0.8420 0.1780 0.7411 O
0.0838 0.1915 0.6952 O
0.0824 0.4800 0.2560 O
0.5879 0.9707 0.1962 O
0.4886 0.8135 0.0940 O
0.2386 0.1869 0.5232 O
0.4134 0.2990 0.2494 O
0.5815 0.6540 0.0745 O
0.9202 0.7868 0.3094 O
0.1776 0.8697 0.8607 O
0.2457 0.3195 0.7486 O
0.0952 0.0266 0.5898 O
0.5148 0.2031 0.9100 O
0.4858 0.1573 0.3129 O
0.6580 0.4558 0.4712 O
0.8958 0.8301 0.1930 O
0.8965 0.9628 0.6916 O
0.5895 0.9811 0.9144 O
0.7636 0.8806 0.3623 O
0.2555 0.8691 0.0787 O
0.8478 0.1588 0.0293 O
0.7444 0.6564 0.5725 O
0.5905 0.1974 0.4135 O
0.4130 0.8468 0.9094 O
0.2562 0.6269 0.8548 O
0.4061 0.0224 0.8037 O
0.0636 0.6481 0.3614 O
0.6779 0.8665 0.5777 O
0.0911 0.9831 0.9128 O
0.2595 0.8760 0.3615 O
0.3884 0.9660 0.6942 O
0.7328 0.1542 0.2419 O
0.9293 0.3482 0.9238 O
0.1079 0.0589 0.3101 O
0.4234 0.8396 0.5935 O
0.7742 0.8618 0.4735 O
0.2439 0.3613 0.4178 O
0.2381 0.3496 0.1373 O
0.8218 0.4916 0.9194 O
0.8535 0.5380 0.5256 O
0.9148 0.8471 0.9104 O
0.9254 0.5384 0.7490 O
0.2663 0.6980 0.9748 O
0.2666 0.8439 0.4717 O
0.3572 0.5638 0.5223 O
0.9341 0.3760 0.6435 O
0.1542 0.4572 0.4730 O
0.2481 0.1303 0.9198 O
0.1002 0.1728 0.8159 O
0.3180 0.4864 0.9208 O
0.0865 0.6538 0.0726 O
0.6843 0.5105 0.0795 O
0.8252 0.1294 0.1402 O
0.1749 0.4845 0.3617 O
0.3205 0.1218 0.1392 O
0.7474 0.1268 0.9173 O
0.4774 0.7786 0.8034 O
0.2543 0.1163 0.6392 O
0.9154 0.0283 0.0868 O
0.8213 0.1401 0.4202 O
0.0708 0.6819 0.4726 O
0.9897 0.7991 0.8044 O
0.9067 0.3034 0.2422 O
0.6550 0.8434 0.9692 O
0.2269 0.3031 0.0262 O
0.7569 0.7006 0.2620 O
0.7550 0.6296 0.8567 O
0.1752 0.8501 0.5728 O
0.7526 0.8298 0.7555 O
0.5150 0.8137 0.6949 O
0.4215 0.5461 0.0258 O
0.4417 0.5064 0.1466 O
0.4134 0.0324 0.0848 O
0.7270 0.1501 0.5276 O
0.8120 0.5120 0.6463 O
0.0122 0.8248 0.4140 O
0.9533 0.5310 0.1464 O
0.7266 0.2906 0.0208 O
0.9208 0.5482 0.0269 O
0.0166 0.1959 0.1928 O
0.3481 0.1658 0.7447 O
0.6728 0.8696 0.8579 O
0.4283 0.3458 0.9217 O
0.9090 0.2762 0.5259 O
0.2433 0.1721 0.2385 O
0.0764 0.4660 0.9684 O
0.5727 0.4535 0.9697 O
0.9711 0.1612 0.3092 O
0.7494 0.3494 0.4234 O
0.9171 0.0510 0.8055 O
0.7698 0.6984 0.9781 O
0.4227 0.4921 0.4215 O
0.7503 0.3636 0.1431 O
0.6534 0.8427 0.2535 O
0.0169 0.2066 0.9142 O
0.5804 0.1867 0.6915 O
0.5581 0.4864 0.8607 O
0.7385 0.1147 0.6376 O
0.0735 0.5023 0.5751 O
0.0152 0.8143 0.6942 O
0.3167 0.5117 0.6447 O
0.6867 0.4749 0.3607 O
0.0834 0.6959 0.7564 O
0.4374 0.3612 0.6400 O
0.6498 0.4774 0.7548 O
0.0802 0.9620 0.1949 O
0.3416 0.1542 0.0278 O
0.5185 0.1938 0.1945 O
0.0561 0.4806 0.8592 O
0.5090 0.8420 0.4134 O
0.3182 0.1308 0.4225 O
0.0832 0.2009 0.4139 O
0.6071 0.0336 0.3047 O
0.9171 0.8131 0.5905 O
0.9884 0.1649 0.5900 O
0.4136 0.7776 0.3128 O
0.1689 0.6673 0.5238 Ga
0.4961 0.9814 0.3515 Ga
0.6719 0.6519 0.8137 Ga
0.6657 0.6538 0.0210 Ga
0.8355 0.3692 0.9847 Ga
0.5022 0.0019 0.6489 Ga
0.1708 0.6771 0.0159 Ga
0.8249 0.3313 0.6832 Ga
0.1621 0.6623 0.3087 Ga
0.9974 0.0008 0.3414 Ga
0.4975 0.9892 0.8521 Ga
0.8387 0.3434 0.4850 Ga
0.6636 0.6588 0.5143 Ga
0.3441 0.3451 0.1915 Ga
0.6588 0.6403 0.3166 Ga
0.3442 0.3720 0.9813 Ga
0.8465 0.3669 0.1813 Ga
0.1714 0.6579 0.8194 Ga
0.9905 0.0031 0.8506 Ga
0.3162 0.3192 0.6814 Ga
0.3442 0.3616 0.4865 Ga
0.6379 0.2821 0.7503 Si
0.8249 0.6151 0.5823 Si
0.3160 0.6726 0.9165 Si
0.9896 0.6310 0.0810 Si
0.8493 0.0034 0.7514 Si
0.9742 0.3378 0.5825 Si
0.3528 0.7055 0.2538 Si
0.1481 0.0057 0.2531 Si
0.4826 0.6200 0.0840 Si
0.9950 0.2891 0.2507 Si
0.1463 0.2891 0.7555 Si
0.3416 0.6402 0.5848 Si
0.8165 0.6745 0.9168 Si
0.6906 0.3327 0.0830 Si
0.5012 0.2827 0.2550 Si
0.1946 0.0492 0.5791 Si
0.8506 0.7040 0.2559 Si
0.5230 0.6689 0.4172 Si
0.4959 0.0014 0.1416 Ta
0.0005 0.9945 0.1485 Ta
0.9985 0.0055 0.6443 Ta
0.5191 0.3749 0.9158 S
0.1627 0.3728 0.4165 S
0.8154 0.9662 0.4166 S
0.6674 0.9527 0.9155 S
0.4791 0.3366 0.5852 S
0.0204 0.6670 0.4173 S
0.4988 0.7024 0.7500 S
0.6850 0.0402 0.5821 S
0.1677 0.9565 0.9159 S
0.6698 0.3681 0.4178 S
0.0043 0.7141 0.7525 S
0.0186 0.3764 0.9177 S
0.3100 0.9591 0.4168 S
0.3530 0.0052 0.7505 S
0.8343 0.0516 0.0832 S
0.3302 0.0476 0.0819 S
0.1886 0.3342 0.0823 S
0.6448 0.0005 0.2493 S
```

Properties
* size of the total moment: 0.000 μB/cell
* E_tot: -0.233 hartree per atom